Density functional theory data (GGA+U) for YVTe2O8 after structural relaxation.

Cell: 5.522 5.522 21.626 Å, 90.00 90.00 95.91°
Fractional positions:
Te: 0.178 0.822 0.134
O: 0.440 0.953 0.940
O: 0.759 0.844 0.836
Y: 0.249 0.249 0.000
O: 0.471 0.529 0.766
O: 0.984 0.016 0.432
O: 0.259 0.344 0.664
O: 0.047 0.560 0.940
Te: 0.322 0.678 0.634
O: 0.060 0.547 0.440
O: 0.957 0.543 0.750
O: 0.435 0.565 0.558
Y: 0.749 0.749 0.500
Te: 0.822 0.178 0.866
O: 0.656 0.741 0.664
O: 0.844 0.759 0.164
O: 0.741 0.656 0.336
V: 0.255 0.245 0.750
V: 0.245 0.255 0.250
O: 0.484 0.516 0.068
O: 0.940 0.453 0.560
Y: 0.251 0.251 0.500
O: 0.529 0.471 0.234
O: 0.953 0.440 0.060
O: 0.935 0.065 0.942
O: 0.241 0.156 0.164
O: 0.971 0.029 0.734
Te: 0.189 0.811 0.389
O: 0.543 0.957 0.250
Te: 0.311 0.689 0.889
O: 0.156 0.241 0.836
Y: 0.751 0.751 0.000
O: 0.344 0.259 0.336
O: 0.043 0.457 0.250
O: 0.065 0.935 0.058
O: 0.029 0.971 0.266
O: 0.453 0.940 0.440
Te: 0.678 0.322 0.366
O: 0.560 0.047 0.060
O: 0.516 0.484 0.932
V: 0.755 0.745 0.750
O: 0.547 0.060 0.560
V: 0.745 0.755 0.250
Te: 0.689 0.311 0.111
O: 0.016 0.984 0.568
O: 0.565 0.435 0.442
O: 0.457 0.043 0.750
Te: 0.811 0.189 0.611

Crystal system: orthorhombic
Space group: Cmce
E_form (eV per atom): -2.292
Electronic total energy (eV per atom): -6.811